[1]
The following is a PBE-GGA calculation of a relaxed structure of ErGeBiO5, from Materials Project.

* total energy after the MP2020 corrections: -0.543 Ry/atom
* total magnetic moment: 0.000 μB per atom

Unit cell a=5.3733 b=11.0805 c=15.4222 alpha=90.00 beta=90.00 gamma=90.00
With the nearest neighbours (Å) after each atom.
Fractional coordinates of all 64 atoms:
O1 0.1951 0.4757 0.3739  1 Ge 1.79
O2 0.2502 0.7350 0.1500  2 Bi 2.18-2.29, 2 Er 2.30-2.40
O3 0.3049 0.9757 0.6261  1 Ge 1.79
O4 0.4346 0.8299 0.3025  1 Ge 1.80
O5 0.7498 0.2650 0.8500  2 Bi 2.18-2.29, 2 Er 2.30-2.40
O6 0.8565 0.8086 0.9801  1 Ge 1.76
O7 0.8049 0.5243 0.6261  1 Ge 1.79
O8 0.7502 0.7650 0.1500  2 Bi 2.18-2.29, 2 Er 2.30-2.40
O9 0.7502 0.2650 0.3500  2 Bi 2.18-2.29, 2 Er 2.30-2.40
O10 0.6951 0.0243 0.3739  1 Ge 1.79
O11 0.1984 0.4587 0.0611  1 Ge 1.78
O12 0.5654 0.6701 0.8025  1 Ge 1.80
O13 0.8016 0.5413 0.9389  1 Ge 1.78
O14 0.1435 0.1914 0.0199  1 Ge 1.76
O15 0.3565 0.1914 0.5199  1 Ge 1.76
O16 0.0654 0.3299 0.6975  1 Ge 1.80
O17 0.6984 0.0413 0.0611  1 Ge 1.78
O18 0.3565 0.6914 0.9801  1 Ge 1.76
O19 0.1951 0.9757 0.1261  1 Ge 1.79
O20 0.6984 0.5413 0.4389  1 Ge 1.78
O21 0.9346 0.6701 0.3025  1 Ge 1.80
O22 0.8565 0.3086 0.5199  1 Ge 1.76
O23 0.9346 0.1701 0.1975  1 Ge 1.80
O24 0.6435 0.8086 0.4801  1 Ge 1.76
O25 0.2502 0.2350 0.3500  2 Bi 2.18-2.29, 2 Er 2.30-2.40
O26 0.7498 0.7650 0.6500  2 Bi 2.18-2.29, 2 Er 2.30-2.40
O27 0.1984 0.9587 0.4389  1 Ge 1.78
O28 0.3016 0.4587 0.5611  1 Ge 1.78
O29 0.4346 0.3299 0.1975  1 Ge 1.80
O30 0.5654 0.1701 0.6975  1 Ge 1.80
O31 0.6951 0.5243 0.1261  1 Ge 1.79
O32 0.3016 0.9587 0.9389  1 Ge 1.78
O33 0.8049 0.0243 0.8739  1 Ge 1.79
O34 0.1435 0.6914 0.4801  1 Ge 1.76
O35 0.2498 0.7350 0.6500  2 Bi 2.18-2.29, 2 Er 2.30-2.40
O36 0.2498 0.2350 0.8500  2 Bi 2.18-2.29, 2 Er 2.30-2.40
O37 0.8016 0.0413 0.5611  1 Ge 1.78
O38 0.3049 0.4757 0.8739  1 Ge 1.79
O39 0.0654 0.8299 0.8025  1 Ge 1.80
O40 0.6435 0.3086 0.0199  1 Ge 1.76
Ge1 0.9936 0.0970 0.0954  4 O 1.76-1.80
Ge2 0.9936 0.5970 0.4046  4 O 1.76-1.80
Ge3 0.4936 0.4030 0.0954  4 O 1.76-1.80
Ge4 0.4936 0.9030 0.4046  4 O 1.76-1.80
Ge5 0.5064 0.5970 0.9046  4 O 1.76-1.80
Ge6 0.0064 0.4030 0.5954  4 O 1.76-1.80
Ge7 0.0064 0.9030 0.9046  4 O 1.76-1.80
Ge8 0.5064 0.0970 0.5954  4 O 1.76-1.80
Bi1 0.4569 0.3533 0.7628  5 O 2.18-2.35
Bi2 0.4569 0.8533 0.7372  5 O 2.18-2.35
Bi3 0.5431 0.1467 0.2628  5 O 2.18-2.35
Bi4 0.9569 0.1467 0.7628  5 O 2.18-2.35
Bi5 0.5431 0.6467 0.2372  5 O 2.18-2.35
Bi6 0.0431 0.3533 0.2628  5 O 2.18-2.35
Bi7 0.0431 0.8533 0.2372  5 O 2.18-2.35
Bi8 0.9569 0.6467 0.7372  5 O 2.18-2.35
Er1 0.4898 0.8589 0.0533  7 O 2.29-2.40
Er2 0.9898 0.1411 0.4467  7 O 2.29-2.40
Er3 0.5102 0.6411 0.5533  7 O 2.29-2.40
Er4 0.9898 0.6411 0.0533  7 O 2.29-2.40
Er5 0.4898 0.3589 0.4467  7 O 2.29-2.40
Er6 0.0102 0.8589 0.5533  7 O 2.29-2.40
Er7 0.5102 0.1411 0.9467  7 O 2.29-2.40
Er8 0.0102 0.3589 0.9467  7 O 2.29-2.40

---

[2]
The following is a PBE-GGA calculation of a relaxed structure of Al6Ru, from Materials Project.

Unit cell a=4.9827 b=4.9827 c=9.0391 alpha=90.00 beta=90.00 gamma=97.67
With the nearest neighbours (Å) after each atom.
Fractional coordinates of all 14 atoms:
Al1 0.6182 0.9781 0.2500  2 Ru 2.58-2.63, 3 Al 2.70-2.82
Al2 0.1405 0.1405 0.4004  1 Ru 2.52, 4 Al 2.58-2.72
Al3 0.8595 0.8595 0.9004  1 Ru 2.52, 4 Al 2.58-2.72
Al4 0.0219 0.3818 0.7500  2 Ru 2.58-2.63, 3 Al 2.70-2.82
Al5 0.3192 0.6808 0.5000  2 Ru 2.65, 7 Al 2.71-2.87
Al6 0.6808 0.3192 0.0000  2 Ru 2.65, 7 Al 2.71-2.87
Al7 0.3192 0.6808 0.0000  2 Ru 2.65, 7 Al 2.71-2.87
Al8 0.8595 0.8595 0.5996  1 Ru 2.52, 4 Al 2.58-2.72
Al9 0.3818 0.0219 0.7500  2 Ru 2.58-2.63, 3 Al 2.70-2.82
Al10 0.6808 0.3192 0.5000  2 Ru 2.65, 7 Al 2.71-2.87
Al11 0.1405 0.1405 0.0996  1 Ru 2.52, 4 Al 2.58-2.72
Al12 0.9781 0.6182 0.2500  2 Ru 2.58-2.63, 3 Al 2.70-2.82
Ru1 0.5364 0.5364 0.7500  10 Al 2.52-2.65
Ru2 0.4636 0.4636 0.2500  10 Al 2.52-2.65

---

[3]
The following is a PBE-GGA calculation of a relaxed structure of K3SbSe3, from Materials Project.

* total energy after the MP2020 corrections: -0.274 Ry/atom

Unit cell a=9.9806 b=9.9806 c=9.9806 alpha=90.00 beta=90.00 gamma=90.00
With the nearest neighbours (Å) after each atom.
Fractional coordinates of all 28 atoms:
Se1 0.2208 0.6024 0.4974  1 Sb 2.60
Se2 0.1024 0.0026 0.7792  1 Sb 2.60
Se3 0.9974 0.2792 0.3976  1 Sb 2.60
Se4 0.7208 0.8976 0.5026  1 Sb 2.60
Se5 0.4974 0.2208 0.6024  1 Sb 2.60
Se6 0.2792 0.3976 0.9974  1 Sb 2.60
Se7 0.6024 0.4974 0.2208  1 Sb 2.60
Se8 0.8976 0.5026 0.7208  1 Sb 2.60
Se9 0.3976 0.9974 0.2792  1 Sb 2.60
Se10 0.7792 0.1024 0.0026  1 Sb 2.60
Se11 0.5026 0.7208 0.8976  1 Sb 2.60
Se12 0.0026 0.7792 0.1024  1 Sb 2.60
K1 0.6879 0.1879 0.3121  6 Se 3.33-3.48, 1 Sb 3.73
K2 0.3174 0.3174 0.3174  6 Se 3.31-3.50
K3 0.8121 0.8121 0.8121  6 Se 3.33-3.48, 1 Sb 3.73
K4 0.1826 0.6826 0.8174  6 Se 3.31-3.50
K5 0.1879 0.3121 0.6879  6 Se 3.33-3.48, 1 Sb 3.73
K6 0.9217 0.4217 0.0783  6 Se 3.57-3.67
K7 0.5783 0.5783 0.5783  6 Se 3.57-3.67
K8 0.6826 0.8174 0.1826  6 Se 3.31-3.50
K9 0.4217 0.0783 0.9217  6 Se 3.57-3.67
K10 0.8174 0.1826 0.6826  6 Se 3.31-3.50
K11 0.0783 0.9217 0.4217  6 Se 3.57-3.67
K12 0.3121 0.6879 0.1879  6 Se 3.33-3.48, 1 Sb 3.73
Sb1 0.0277 0.0277 0.0277  3 Se 2.60
Sb2 0.9723 0.5277 0.4723  3 Se 2.60
Sb3 0.5277 0.4723 0.9723  3 Se 2.60
Sb4 0.4723 0.9723 0.5277  3 Se 2.60

---

[4]
The following is a PBE-GGA calculation of a relaxed structure of Tb2MgTi2S2O5, from Materials Project.

* total energy after the MP2020 corrections: -0.587 Ry/atom
* E above lowest polymorph: 0.0 meV/atom
* total magnetic moment: 0.166 μB per atom

Unit cell a=3.8062 b=3.8062 c=14.1204 alpha=97.75 beta=97.75 gamma=90.00
With the nearest neighbours (Å) after each atom.
Fractional coordinates of all 12 atoms:
S1 0.3081 0.3081 0.6162  2 Mg 2.49
S2 0.6919 0.6919 0.3838  2 Mg 2.49
O1 0.4079 0.9079 0.8158  2 Ti 2.04, 2 Tb 2.26
O2 0.5000 0.5000 0.0000  2 Ti 1.82
O3 0.5914 0.0914 0.1828  2 Ti 2.03, 2 Tb 2.27
O4 0.9086 0.4086 0.8172  2 Ti 2.03, 2 Tb 2.27
O5 0.0921 0.5921 0.1842  2 Ti 2.04, 2 Tb 2.26
Ti1 0.4343 0.4343 0.8685  5 O 1.82-2.04
Ti2 0.5657 0.5657 0.1315  5 O 1.82-2.04
Tb1 0.1359 0.1359 0.2719  4 O 2.26-2.27
Tb2 0.8641 0.8641 0.7281  4 O 2.26-2.27
Mg1 0.2500 0.7500 0.5000  4 S 2.49

---

[5]
The following is a PBE-GGA calculation of a relaxed structure of NpGa5Rh, from Materials Project.

Unit cell a=4.2939 b=4.2939 c=6.8048 alpha=90.00 beta=90.00 gamma=90.00
With the nearest neighbours (Å) after each atom.
Fractional coordinates of all 7 atoms:
Np1 0.0000 0.0000 0.0000  12 Ga 2.95-3.04
Rh1 0.0000 0.0000 0.5000  8 Ga 2.55
Ga1 0.5000 0.5000 0.0000  8 Ga 2.95, 4 Np 3.04
Ga2 0.5000 0.0000 0.2973  2 Rh 2.55, 1 Ga 2.76
Ga3 0.0000 0.5000 0.2973  2 Rh 2.55, 1 Ga 2.76
Ga4 0.5000 0.0000 0.7027  2 Rh 2.55, 1 Ga 2.76
Ga5 0.0000 0.5000 0.7027  2 Rh 2.55, 1 Ga 2.76

---

[6]
The following is a PBE-GGA calculation of a relaxed structure of RbSeO3, from Materials Project.

* total energy after the MP2020 corrections: -0.389 Ry/atom
* total magnetic moment: 0.200 μB per atom

Unit cell a=5.5055 b=5.7716 c=7.3905 alpha=107.57 beta=107.94 gamma=92.67
With the nearest neighbours (Å) after each atom.
Fractional coordinates of all 10 atoms:
Se1 0.5526 0.8391 0.7083  3 O 1.68-1.69
Se2 0.4474 0.1609 0.2917  3 O 1.68-1.69
Rb1 0.1300 0.3602 0.7786  8 O 3.04-3.20
Rb2 0.8700 0.6398 0.2214  8 O 3.04-3.20
O1 0.2847 0.8920 0.1195  1 Se 1.68
O2 0.7685 0.1675 0.3435  1 Se 1.69
O3 0.6438 0.5946 0.7776  1 Se 1.69
O4 0.3562 0.4054 0.2224  1 Se 1.69
O5 0.2315 0.8325 0.6565  1 Se 1.69
O6 0.7153 0.1080 0.8805  1 Se 1.68

---

[7]
The following is a PBE-GGA calculation of a relaxed structure of MgZnAg2, from Materials Project.

* total magnetic moment: 0.000 μB per atom

Unit cell a=3.1373 b=3.1373 c=7.1592 alpha=90.00 beta=90.00 gamma=90.00
With the nearest neighbours (Å) after each atom.
Fractional coordinates of all 4 atoms:
Ag1 0.0000 0.0000 0.9823  4 Zn 2.77, 4 Mg 2.93
Ag2 0.0000 0.0000 0.5177  4 Zn 2.77, 4 Mg 2.93
Mg1 0.5000 0.5000 0.2500  8 Ag 2.93, 4 Mg 3.14
Zn1 0.5000 0.5000 0.7500  8 Ag 2.77

---

[8]
The following is a PBE-GGA calculation of a relaxed structure of TiCr2Te4, from Materials Project.

* total energy after the MP2020 corrections: -0.460 Ry/atom
* E above lowest polymorph: 24.5 meV/atom
* total magnetic moment: 0.878 μB per atom

Unit cell a=3.9961 b=6.8396 c=7.3149 alpha=116.77 beta=105.94 gamma=90.12
With the nearest neighbours (Å) after each atom.
Fractional coordinates of all 7 atoms:
Cr1 0.7559 0.7846 0.5096  6 Te 2.70-2.85
Cr2 0.4935 0.4942 0.9875  6 Te 2.73-2.83, 1 Ti 3.04
Te1 0.6138 0.9512 0.2290  2 Cr 2.70-2.77, 2 Ti 2.77-2.78
Te2 0.1307 0.4720 0.2621  4 Cr 2.83-2.85, 1 Ti 2.93
Te3 0.8677 0.5372 0.7355  3 Cr 2.77-2.81, 2 Ti 2.84-2.85
Te4 0.3887 0.0428 0.7758  1 Ti 2.71, 3 Cr 2.73-2.75
Ti1 0.2496 0.2180 0.5005  6 Te 2.71-2.93, 1 Cr 3.04

---

Number 1: energy of formation from the pure elements -2052 kJ/mol of formula units. Number 2: energy of formation from the pure elements -222 kJ/mol of formula units. Number 3: energy of formation from the pure elements -786 kJ/mol of formula units. Number 4: energy of formation from the pure elements -3486 kJ/mol of formula units. Number 5: energy of formation from the pure elements -227 kJ/mol of formula units. Number 6: energy of formation from the pure elements -692 kJ/mol of formula units. Number 7: energy of formation from the pure elements -56 kJ/mol of formula units. Number 8: energy of formation from the pure elements -392 kJ/mol of formula units.